# 1
A plane-wave DFT calculation with r²SCAN was carried out for YbNdAg2 after structural relaxation.

The structure in POSCAR format:
```
YbNdAg2
1.0
0.000 3.645 3.645
3.645 0.000 3.645
3.645 3.645 0.000
Yb Nd Ag
1 1 2
Cartesian
0.000 0.000 0.000
3.645 3.645 3.645
1.822 1.822 1.822
5.467 5.467 5.467
```

**Calculated formation energy**: -0.309 eV/atom

---

# 2
A plane-wave DFT calculation with r²SCAN was carried out for Nd2ZnAg after structural relaxation.

The structure in POSCAR format:
```
Nd2ZnAg
1.0
0.000 3.710 3.710
3.710 0.000 3.710
3.710 3.710 0.000
Nd Zn Ag
2 1 1
Cartesian
1.855 1.855 1.855
5.565 5.565 5.565
0.000 0.000 0.000
3.710 3.710 3.710
```

**Calculated formation energy**: -0.290 eV/atom

---

# 3
A plane-wave DFT calculation with r²SCAN was carried out for NiAg2Sn3S8 after structural relaxation.

The structure in POSCAR format:
```
NiAg2Sn3S8
1.0
3.785 2.185 6.003
-3.785 2.185 6.003
0.000 -4.371 6.003
Ni Ag Sn S
1 2 3 8
Cartesian
0.000 0.000 0.000
0.000 0.000 7.067
0.000 0.000 10.943
-3.785 0.000 9.005
-1.893 1.093 3.002
1.893 1.093 3.002
-2.101 -1.213 10.509
0.000 -2.426 7.501
-2.101 1.213 7.501
0.000 0.000 4.448
0.000 0.000 13.561
2.101 -1.213 10.509
0.000 2.426 10.509
2.101 1.213 7.501
```

**Calculated formation energy**: -0.438 eV/atom

---

# 4
A plane-wave DFT calculation with r²SCAN was carried out for AgO after structural relaxation.

The structure in POSCAR format:
```
AgO
1.0
2.353 -2.209 0.000
2.353 2.209 0.000
-0.377 0.000 5.543
Ag O
2 2
Cartesian
1.177 1.105 0.000
0.988 -1.105 2.771
2.070 2.115 4.157
2.259 -2.115 1.386
```

**Calculated formation energy**: -0.178 eV/atom

---

# 5
A plane-wave DFT calculation with r²SCAN was carried out for AgO after structural relaxation.

The structure in POSCAR format:
```
AgO
1.0
5.797 0.000 0.000
0.000 3.524 0.000
-1.646 0.000 5.284
Ag O
4 4
Cartesian
0.000 0.000 0.000
-0.823 1.762 2.642
2.076 0.000 2.642
2.899 1.762 0.000
-0.081 0.585 4.123
0.742 1.177 1.481
3.409 2.347 3.803
4.232 2.939 1.161
```

**Calculated formation energy**: -0.179 eV/atom

---

# 6
A plane-wave DFT calculation with r²SCAN was carried out for Ag3O after structural relaxation.

The structure in POSCAR format:
```
Ag3O
1.0
5.327 0.000 0.000
-2.664 4.613 0.000
0.000 0.000 4.974
Ag O
6 2
Cartesian
-0.829 1.435 1.097
-1.835 3.178 3.877
1.658 0.000 1.097
0.829 1.435 3.877
3.670 0.000 3.877
1.835 3.178 1.097
0.000 3.076 2.487
2.664 1.538 2.487
```

**Calculated formation energy**: -0.138 eV/atom

---

Calculated ρ (g/cm³), listed in the same order as above: 9.14, 7.51, 4.94, 7.14, 7.62, 9.23